# Tb3Os (r²SCAN, optimized geometry)
data_Tb3Os
_cell_length_a 7.382
_cell_length_b 9.090
_cell_length_c 6.372
_cell_angle_alpha 90.00
_cell_angle_beta 90.00
_cell_angle_gamma 90.00
_space_group_name_H-M_alt 'P n m a'
_space_group_IT_number 62
_space_group_name_Hall '-P 2ac 2n'
loop_
_atom_site_label
_atom_site_type_symbol
_atom_site_fract_x
_atom_site_fract_y
_atom_site_fract_z
Tb1 Tb 0.042 0.250 0.129
Tb2 Tb 0.173 0.064 0.670
Os1 Os 0.115 0.750 0.464
# * V: 26.7 Å³ per atom
# * formation energy from the elements: -300 meV per atom
# * M_tot: 0.00 μB/atom